Entry 1:
DFT (PBE-GGA) results for Ba3Mo3N5 after structural relaxation.

```
Ba3Mo3N5
1.0
-3.5520 5.0431 0.8076
-1.9459 -3.1784 6.5885
8.5275 3.4851 1.0887
Ba Mo N
6 6 10
direct
0.8166 0.4260 0.6134 Ba
0.1834 0.5740 0.3866 Ba
0.6510 0.8659 0.8829 Ba
0.3490 0.1341 0.1171 Ba
0.6455 0.6572 0.2132 Ba
0.3545 0.3428 0.7868 Ba
0.9170 0.3172 0.9720 Mo
0.0830 0.6828 0.0280 Mo
0.6949 0.9577 0.5711 Mo
0.3051 0.0423 0.4289 Mo
0.1099 0.9006 0.7016 Mo
0.8901 0.0994 0.2984 Mo
0.9181 0.1175 0.7767 N
0.0819 0.8825 0.2233 N
0.8624 0.7424 0.5256 N
0.1376 0.2576 0.4744 N
0.7759 0.5364 0.9340 N
0.2241 0.4636 0.0660 N
0.3804 0.9430 0.6181 N
0.6196 0.0570 0.3819 N
0.1537 0.7896 0.8696 N
0.8463 0.2104 0.1304 N
```

Values from the calculation:
Energy of formation from the pure elements ... -0.64 eV per atom
Size of the total moment ... 0.00 μB per cell


Entry 2:
DFT (PBE-GGA) results for Ba3MoN3 after structural relaxation.

```
Ba3MoN3
1.0
8.5024 0.0000 0.0000
-4.2512 7.3633 0.0000
0.0000 0.0000 5.6347
Ba Mo N
6 2 6
direct
0.9111 0.6413 0.2500 Ba
0.7302 0.0889 0.2500 Ba
0.3587 0.2698 0.2500 Ba
0.0889 0.3587 0.7500 Ba
0.2698 0.9111 0.7500 Ba
0.6413 0.7302 0.7500 Ba
0.6667 0.3333 0.7500 Mo
0.3333 0.6667 0.2500 Mo
0.8745 0.5618 0.7500 N
0.6873 0.1255 0.7500 N
0.4382 0.3127 0.7500 N
0.1255 0.4382 0.2500 N
0.3127 0.8745 0.2500 N
0.5618 0.6873 0.2500 N
```

Values from the calculation:
Energy of formation from the pure elements ... -0.85 eV per atom
Size of the total moment ... 0.01 μB per cell